The following is a GGA-PBE calculation of a relaxed structure of La39Se56, from the Materials Project.

Results
SG = P1
calculated total energy = -0.448 Ry/atom
DFT formation energy = -2289.4 meV per atom
magnetic moment = 1.14 μB/f.u.

a b c (Å): 7.8835 7.8865 55.1062
angles (deg): 109.35 109.68 109.40
Positions (direct):
La (0.1302, 0.7521, 0.9829)
La (0.1224, 0.7478, 0.8388)
La (0.2490, 0.6236, 0.9101)
La (0.3756, 0.2512, 0.9465)
La (0.2495, 0.6253, 0.7679)
La (0.1267, 0.7508, 0.6968)
La (0.6240, 0.3741, 0.8922)
La (0.3743, 0.2498, 0.8035)
La (0.7474, 0.8703, 0.8740)
La (0.1220, 0.7495, 0.5526)
La (0.8769, 0.1262, 0.9645)
La (0.2524, 0.6301, 0.6261)
La (0.7508, 0.8760, 0.7326)
La (0.3757, 0.2507, 0.6612)
La (0.6247, 0.3748, 0.7502)
La (0.8741, 0.1250, 0.8211)
La (0.2374, 0.6145, 0.4780)
La (0.3677, 0.2486, 0.5160)
La (0.7520, 0.8774, 0.5896)
La (0.6286, 0.3770, 0.6076)
La (0.8797, 0.1289, 0.6791)
La (0.2353, 0.6200, 0.3382)
La (0.7372, 0.8551, 0.4416)
La (0.3605, 0.2428, 0.3721)
La (0.6077, 0.3488, 0.4610)
La (0.8759, 0.1240, 0.5353)
La (0.2438, 0.6338, 0.1978)
La (0.7466, 0.8690, 0.3013)
La (0.3782, 0.2501, 0.2328)
La (0.6234, 0.3628, 0.3212)
La (0.8791, 0.1268, 0.3918)
La (0.2517, 0.6407, 0.0577)
La (0.7525, 0.8806, 0.1612)
La (0.3915, 0.2577, 0.0931)
La (0.6270, 0.3692, 0.1803)
La (0.8860, 0.1363, 0.2513)
La (0.7545, 0.8842, 0.0191)
La (0.6390, 0.3862, 0.0388)
La (0.8930, 0.1400, 0.1106)
Se (0.9994, 0.8504, 0.9285)
Se (0.9989, 0.3501, 0.9284)
Se (0.4986, 0.0008, 0.9777)
Se (0.0001, 0.8489, 0.7858)
Se (0.1506, 0.1510, 0.8788)
Se (0.0003, 0.3488, 0.7858)
Se (0.3490, 0.5007, 0.8574)
Se (0.6475, 0.6478, 0.9493)
Se (0.9991, 0.8488, 0.6429)
Se (0.9998, 0.3484, 0.6428)
Se (0.1504, 0.1504, 0.7358)
Se (0.5007, 0.0004, 0.9070)
Se (0.3488, 0.5002, 0.7142)
Se (0.6514, 0.6512, 0.8074)
Se (0.5003, 0.0004, 0.8357)
Se (0.0043, 0.8578, 0.5012)
Se (0.8490, 0.4999, 0.8573)
Se (0.4992, 0.9992, 0.7641)
Se (0.1537, 0.1534, 0.5936)
Se (0.0038, 0.3592, 0.5013)
Se (0.3542, 0.5014, 0.5719)
Se (0.6508, 0.6506, 0.6643)
Se (0.4992, 0.9998, 0.6926)
Se (0.9962, 0.8547, 0.3560)
Se (0.8483, 0.4991, 0.7142)
Se (0.5002, 0.0001, 0.6215)
Se (0.1585, 0.1648, 0.4528)
Se (0.0013, 0.3438, 0.3574)
Se (0.3589, 0.4982, 0.4297)
Se (0.5039, 0.0040, 0.5515)
Se (0.6567, 0.6587, 0.5229)
Se (0.9937, 0.8518, 0.2124)
Se (0.8547, 0.5017, 0.5720)
Se (0.5129, 0.0092, 0.4817)
Se (0.1555, 0.1580, 0.3081)
Se (0.9996, 0.3416, 0.2136)
Se (0.3598, 0.4943, 0.2865)
Se (0.5039, 0.0022, 0.4072)
Se (0.6365, 0.6476, 0.3777)
Se (0.9932, 0.8518, 0.0695)
Se (0.8464, 0.5021, 0.4298)
Se (0.1489, 0.1521, 0.1643)
Se (0.5083, 0.0041, 0.3381)
Se (0.9945, 0.3356, 0.0695)
Se (0.3571, 0.4927, 0.1431)
Se (0.5029, 0.0014, 0.2636)
Se (0.6328, 0.6432, 0.2340)
Se (0.8426, 0.4984, 0.2859)
Se (0.5092, 0.0042, 0.1945)
Se (0.1443, 0.1411, 0.0193)
Se (0.3520, 0.4971, 0.9994)
Se (0.5007, 0.9985, 0.1197)
Se (0.6326, 0.6390, 0.0908)
Se (0.8415, 0.4955, 0.1421)
Se (0.4950, 0.9958, 0.0484)
Se (0.8498, 0.4960, 0.9990)


The following is a GGA-PBE calculation of a relaxed structure of LaSe2, from the Materials Project.

Results
SG = P2_1/c
calculated total energy = -0.412 Ry/atom
DFT formation energy = -1940.3 meV per atom
magnetic moment = 0.01 μB/f.u.

a b c (Å): 8.4153 4.5476 9.5120
angles (deg): 71.88 90.00 90.00
Positions (direct):
La (0.7717, 0.6192, 0.0940)
La (0.2717, 0.3808, 0.4060)
La (0.2283, 0.3808, 0.9060)
La (0.7283, 0.6192, 0.5940)
Se (0.5123, 0.0708, 0.1166)
Se (0.0123, 0.9292, 0.3834)
Se (0.4877, 0.9292, 0.8834)
Se (0.9877, 0.0708, 0.6166)
Se (0.6258, 0.2865, 0.3890)
Se (0.1258, 0.7135, 0.1110)
Se (0.3742, 0.7135, 0.6110)
Se (0.8742, 0.2865, 0.8890)


The following is a GGA-PBE calculation of a relaxed structure of LaSe, from the Materials Project.

Results
SG = Pm-3m
calculated total energy = -0.439 Ry/atom
DFT formation energy = -1987.0 meV per atom
magnetic moment = 0.52 μB/f.u.

a b c (Å): 3.7136 3.7136 3.7136
angles (deg): 90.00 90.00 90.00
Positions (direct):
La (0.0000, 0.0000, 0.0000)
Se (0.5000, 0.5000, 0.5000)